(1)
La3Lu2Ga3O12 | GGA-PBE | relaxed

The structure in extended XYZ format:
```
80
Lattice="0.329 -7.572 8.422 7.231 8.436 2.221 -10.496 4.167 -0.924" Properties=species:S:1:pos:R:3 pbc="T T T"
La 1.482 1.791 2.823
La -4.417 3.240 6.896
La -2.785 -3.062 6.248
La -2.087 2.725 1.261
La 4.235 4.008 4.708
La -0.150 8.093 3.471
La -0.848 2.306 8.457
La -7.170 1.023 5.011
La -1.597 -0.743 3.205
La -1.339 5.774 6.514
La -5.119 5.342 1.193
La 2.184 -0.312 8.526
Lu 0.000 0.000 0.000
Lu -5.083 -1.702 3.749
Lu -1.632 6.301 0.648
Lu 0.165 -3.786 4.211
Lu 3.780 0.432 5.321
Lu -1.468 2.515 4.859
Lu -5.248 2.084 -0.462
Lu 3.616 4.218 1.110
Ga 0.666 4.942 3.147
Ga -3.601 0.089 6.572
Ga 5.262 2.223 8.144
Ga -4.629 1.874 3.136
Ga 1.693 3.157 6.583
Ga -8.198 2.808 1.575
Ga -3.719 9.027 1.910
Ga 0.784 -3.996 7.809
Ga 0.293 -0.527 5.866
Ga -3.229 5.558 3.853
Ga -6.680 -2.446 6.954
Ga 3.744 7.477 2.765
O -0.176 0.765 4.574
O -2.760 4.265 5.145
O -0.666 -1.984 5.145
O -5.104 -3.368 7.429
O -0.396 3.383 3.153
O 3.677 6.551 4.408
O -2.269 7.014 4.573
O 2.168 8.399 2.289
O -2.539 1.648 6.566
O -6.613 -1.520 5.311
O -7.156 6.212 0.068
O 2.345 4.119 2.896
O -1.991 0.130 0.913
O 4.220 -1.181 9.651
O -5.281 0.912 6.823
O -0.945 4.901 8.806
O 5.501 3.688 6.980
O -2.806 5.112 2.069
O -8.437 1.342 2.739
O -0.129 -0.081 7.650
O -2.825 -5.296 7.333
O -5.080 5.841 3.625
O -0.110 10.327 2.386
O 2.145 -0.811 6.093
O -2.777 1.591 3.361
O 2.758 4.715 6.576
O -0.159 3.440 6.358
O -5.693 0.316 3.143
O -5.216 7.937 1.544
O 0.213 2.112 0.553
O 2.280 -2.907 8.175
O -3.149 2.918 9.166
O 6.351 5.305 4.617
O -0.897 -3.176 8.061
O -9.287 -0.274 5.102
O -2.039 8.206 1.658
O -4.559 2.800 1.494
O 2.551 2.242 5.173
O 1.623 2.230 8.225
O -5.486 2.788 4.546
O -7.239 4.266 2.293
O 4.304 0.765 7.426
O 0.723 -0.435 2.025
O -3.658 5.466 7.694
O -3.133 -1.206 7.862
O 0.197 6.237 1.857
O -3.453 -0.999 5.037
O 0.517 6.029 4.682
```

Properties
- E: -152.324 eV per formula unit
- Spin magnetization: 0.001 μB per formula unit

---

(2)
La9Lu11Ga12O48 | GGA-PBE | relaxed

The structure in extended XYZ format:
```
80
Lattice="-10.717 2.846 -2.007 -6.559 -4.044 8.222 -7.416 7.194 7.860" Properties=species:S:1:pos:R:3 pbc="T T T"
La -13.909 5.587 3.192
La -14.008 7.574 6.666
La -12.758 1.857 2.308
La -15.738 1.801 7.613
La -8.953 4.192 6.466
La -11.825 2.134 8.320
La -7.081 -3.180 6.939
La -14.391 2.026 11.351
La -8.224 0.527 7.834
Lu -1.886 1.797 1.966
Lu -22.812 4.207 12.095
Lu -10.481 1.163 5.040
Lu -14.213 4.835 9.030
Lu -5.143 -0.222 6.041
Lu -19.538 6.210 8.039
Lu -17.491 2.806 13.099
Lu -7.206 3.185 0.989
Lu -5.261 0.599 2.529
Lu -19.438 5.407 11.530
Lu -9.155 0.258 1.834
Ga -7.094 2.367 4.464
Ga -17.606 3.639 9.594
Ga -10.185 1.964 -0.699
Ga -12.866 3.859 5.758
Ga -10.696 -1.579 7.423
Ga -11.918 4.130 11.765
Ga -13.861 -0.020 5.621
Ga -10.831 6.015 8.454
Ga -10.784 0.408 10.882
Ga -8.134 -1.435 4.348
Ga -10.289 3.949 2.716
Ga -16.475 5.480 6.262
O -7.120 5.831 7.355
O -17.305 -0.280 7.379
O -13.729 3.442 7.378
O -11.225 2.987 6.053
O -8.952 -1.840 8.099
O -10.567 0.265 7.047
O -12.834 3.589 10.207
O -12.878 3.092 13.017
O -8.489 1.888 5.645
O -7.082 4.233 4.813
O -15.740 3.339 9.569
O -18.071 2.525 8.129
O -21.202 3.802 10.658
O -3.752 2.627 2.774
O -14.718 6.277 10.595
O -9.781 -0.602 3.956
O -12.028 4.238 2.047
O -10.358 2.089 3.041
O -15.628 6.050 7.851
O -15.525 6.497 4.991
O -12.448 0.394 4.444
O -21.221 5.328 13.104
O -12.687 6.334 8.543
O -3.024 -0.073 2.070
O -20.773 6.659 9.806
O -4.547 -1.192 4.157
O -5.487 1.934 0.411
O -18.583 4.598 13.762
O -13.769 3.298 4.202
O -12.739 5.706 5.406
O -8.478 1.664 0.041
O -18.487 8.097 8.442
O -18.500 3.270 11.213
O -18.145 5.446 9.541
O -7.302 1.800 2.678
O -5.444 1.485 4.704
O -7.620 2.899 8.270
O -16.460 3.625 5.905
O -15.456 0.417 9.782
O -9.853 5.056 4.183
O -7.223 -0.910 5.926
O -15.660 3.907 12.600
O -12.525 0.667 10.202
O -9.826 1.449 9.632
O -9.970 6.448 6.826
O -10.265 4.217 8.589
O -13.636 0.467 7.433
O -15.511 0.854 5.309
```

Properties
- E: -607.580 eV per formula unit
- Spin magnetization: 0.000 μB per formula unit

---

(3)
LaMg14Ga | GGA-PBE | relaxed

The structure in extended XYZ format:
```
16
Lattice="-0.205 5.576 3.415 2.281 -5.461 2.788 9.572 2.340 -3.247" Properties=species:S:1:pos:R:3 pbc="T T T"
La 1.923 -0.598 1.093
Mg 3.077 -3.287 2.557
Mg 7.844 -2.175 0.836
Mg 1.788 2.229 2.734
Mg 6.618 3.345 1.202
Mg 2.979 -0.621 4.189
Mg 7.740 0.661 2.572
Mg 4.006 1.859 0.350
Mg 8.580 2.977 -1.202
Mg 5.150 -0.882 1.749
Mg 9.724 0.237 0.197
Mg 3.904 4.637 2.051
Mg 8.478 5.755 0.499
Mg 4.840 1.860 3.520
Mg 9.825 3.078 1.830
Ga 6.709 0.572 -0.531
```

Properties
- Offset from the most stable computed form: 0.028 eV per atom
- Spin magnetization: 0.000 μB per formula unit

---

(4)
LaMg14Ga | GGA-PBE | relaxed

The structure in extended XYZ format:
```
16
Lattice="6.582 0.124 0.000 -3.183 5.514 0.000 0.000 0.000 10.353" Properties=species:S:1:pos:R:3 pbc="T T T"
La -0.076 1.794 1.294
Mg 0.034 1.857 6.471
Mg -1.591 4.595 6.471
Mg 3.219 1.804 1.294
Mg 3.308 1.953 6.471
Mg 1.580 4.643 1.294
Mg 1.754 4.645 6.471
Mg 1.704 0.958 3.964
Mg 1.704 0.958 8.978
Mg 0.090 3.754 3.964
Mg 0.090 3.754 8.978
Mg 4.928 1.007 4.017
Mg 4.928 1.007 8.925
Mg 3.442 3.825 3.687
Mg 3.442 3.825 9.255
Ga -1.368 4.724 1.294
```

Properties
- Offset from the most stable computed form: 0.000 eV per atom
- Spin magnetization: 0.000 μB per formula unit

---

(5)
La16Mg2Ga14O47 | GGA-PBE | relaxed

The structure in extended XYZ format:
```
79
Lattice="-4.697 -2.522 -1.493 -2.258 -1.114 9.348 -7.590 16.584 -3.311" Properties=species:S:1:pos:R:3 pbc="T T T"
La -3.168 -0.388 0.692
La -8.022 2.164 1.568
La -2.129 0.223 6.279
La -8.178 7.315 3.818
La -6.837 2.887 7.011
La -5.058 1.369 3.955
La -8.290 12.416 6.058
La -4.694 9.121 -0.111
La -6.264 0.535 -1.494
La -5.160 6.341 6.149
La -9.483 11.689 0.661
La -7.719 10.084 -2.440
La -6.366 5.644 0.733
La -12.496 12.666 -1.680
La -11.188 8.258 1.493
La -11.301 13.384 3.708
Mg -1.907 1.653 2.989
Mg -10.941 14.700 0.697
Ga -12.262 14.044 -4.769
Ga -6.615 4.297 3.856
Ga -5.305 -0.171 6.987
Ga -6.718 9.386 6.113
Ga -3.133 6.083 -0.068
Ga -8.251 0.805 4.711
Ga -9.305 13.134 -2.481
Ga -7.936 8.676 0.688
Ga -6.149 7.037 -2.399
Ga -4.808 2.581 0.748
Ga -12.748 11.305 1.435
Ga -6.258 12.160 -0.147
Ga -9.619 5.218 1.526
Ga -9.734 10.346 3.789
O -5.669 0.807 0.850
O -7.302 0.299 3.028
O -5.422 -2.012 0.305
O -3.781 -0.285 8.340
O -5.061 4.102 5.134
O -2.591 0.010 3.933
O -5.852 5.960 3.062
O -4.537 1.549 6.220
O -3.316 1.826 1.681
O -7.582 5.408 5.184
O -4.018 2.081 -1.040
O -5.609 3.156 2.545
O -4.386 -1.262 5.641
O -9.913 6.754 5.940
O -6.332 3.420 -0.228
O -7.344 2.604 4.677
O -6.035 -1.859 7.791
O -10.660 8.558 3.824
O -7.065 5.243 -2.365
O -6.821 -0.053 5.736
O -8.106 4.366 2.530
O -5.458 11.636 -1.908
O -8.812 4.699 -0.240
O -10.415 5.726 3.302
O -4.405 3.841 7.954
O -6.438 8.569 2.014
O -7.813 12.983 -1.147
O -7.464 7.696 6.908
O -3.895 4.404 0.720
O -7.183 10.373 -0.103
O -8.529 14.804 -3.279
O -8.215 9.495 4.797
O -4.629 6.205 -1.398
O -8.926 9.803 2.022
O -10.389 14.300 -1.225
O -6.940 7.543 -0.629
O -10.531 10.859 5.551
O -11.237 11.196 2.749
O -8.689 6.993 1.489
O -10.043 11.428 -1.686
O -12.114 13.029 0.620
O -9.425 8.798 -0.641
O -10.728 13.201 -3.858
O -9.061 14.930 4.289
O -11.715 10.156 0.131
O -8.766 12.091 3.757
O -9.546 13.812 1.709
```

Properties
- E: -571.066 eV per formula unit
- Spin magnetization: 0.001 μB per formula unit

---

(6)
SrLa11Mg3Ga9O34 | GGA-PBE | relaxed

The structure in extended XYZ format:
```
58
Lattice="-4.641 -1.326 -2.795 0.409 -2.481 -4.987 -0.390 -24.596 12.005" Properties=species:S:1:pos:R:3 pbc="T T T"
Sr -4.428 -5.778 -3.719
La -2.905 -2.231 -2.215
La -3.349 -8.622 0.881
La -1.145 -7.592 -2.586
La -1.424 -13.809 0.428
La 0.028 -10.418 1.988
La -0.069 -16.649 5.026
La -3.207 -14.598 3.798
La -3.365 -20.817 6.832
La -1.451 -19.897 3.401
La -1.629 -26.089 6.407
La -4.748 -24.009 5.177
Mg -0.336 -25.698 9.435
Mg -3.203 -5.260 -0.761
Mg -4.326 -8.777 -2.243
Ga -1.020 -4.660 -4.026
Ga -1.434 -16.854 1.915
Ga 0.009 -13.542 3.511
Ga -1.366 -10.704 -1.099
Ga -3.285 -17.699 5.310
Ga -3.199 -11.573 2.320
Ga -1.542 -23.004 4.916
Ga -0.088 -19.676 6.506
Ga -3.382 -23.876 8.322
O -1.101 -1.401 -0.866
O -2.059 -3.853 0.193
O -3.881 -8.156 -4.076
O -0.942 -2.775 -3.399
O -0.326 -9.229 -0.241
O -1.873 -5.294 -2.319
O -0.003 -12.015 -0.358
O -4.327 -3.908 -1.520
O -2.562 -10.892 0.556
O -4.193 -6.947 -1.464
O -3.578 -13.380 1.545
O -0.647 -8.082 2.240
O -3.306 -16.201 1.462
O -2.557 -9.402 -1.797
O -1.178 -13.689 5.136
O -2.436 -12.231 -1.897
O -2.232 -16.193 6.129
O -3.456 -14.717 -0.913
O -1.959 -19.032 6.057
O -1.323 -12.205 2.763
O -4.063 -20.331 1.944
O -1.049 -15.029 2.680
O -0.483 -21.505 5.737
O -2.104 -17.527 3.681
O -0.163 -24.352 5.676
O -4.618 -16.358 4.560
O -2.733 -23.165 6.517
O -4.343 -19.184 4.480
O -3.730 -25.753 7.602
O -0.764 -20.346 8.281
O -2.868 -21.655 4.159
O -2.595 -24.485 4.096
O -3.588 -27.058 5.172
O -1.557 -24.385 8.715
```

Properties
- E: -412.722 eV per formula unit
- Spin magnetization: 0.001 μB per formula unit

---

(7)
SrLa9MgGa9O29 | GGA-PBE | relaxed

The structure in extended XYZ format:
```
49
Lattice="-3.036 1.286 4.473 2.539 1.437 4.761 -1.170 26.402 8.786" Properties=species:S:1:pos:R:3 pbc="T T T"
Sr 1.011 5.452 5.988
La -1.690 2.539 4.993
La 0.740 10.603 7.756
La -1.780 8.048 6.668
La 0.474 15.948 9.490
La -2.139 13.143 8.535
La 0.237 21.212 11.256
La -2.379 18.434 10.288
La -0.032 26.458 13.045
La -2.621 23.722 12.042
Mg 0.629 7.438 8.796
Ga -1.720 4.510 7.684
Ga -2.106 9.892 9.490
Ga 0.688 13.909 6.776
Ga 0.548 12.683 10.506
Ga 0.449 19.192 8.531
Ga -2.222 16.470 7.512
Ga 0.218 24.459 10.292
Ga -2.457 21.746 9.272
Ga -1.499 0.667 2.236
O -0.422 2.362 2.671
O 0.786 2.604 5.053
O -0.579 7.516 4.270
O 0.741 7.776 6.799
O -0.690 2.967 7.325
O -0.332 10.097 5.518
O -1.693 5.563 6.070
O -0.874 12.891 5.989
O -0.351 5.638 8.525
O 0.388 13.038 8.541
O -0.922 8.555 8.856
O -0.516 15.457 7.232
O -1.845 10.879 7.695
O -1.115 18.168 7.767
O -0.544 11.026 10.215
O 0.138 18.328 10.307
O -1.163 13.688 10.760
O -0.754 20.743 8.983
O -2.038 16.115 9.472
O -1.353 23.433 9.540
O -0.776 16.246 12.006
O -0.102 23.628 12.070
O -1.380 18.960 12.537
O -1.007 26.025 10.710
O -2.270 21.379 11.230
O -1.016 21.528 13.757
O -1.616 24.220 14.303
O -2.501 26.602 12.985
O -1.228 26.786 15.473
```

Properties
- Offset from the most stable computed form: 0.000 eV per atom
- Spin magnetization: 0.000 μB per formula unit

---

Question: What is the spin magnetization in the seventh record?
Answer: 0.000 μB per formula unit